# 1
{"formula": "DyNiO3", "functional": "GGA+U", "state": "relaxed", "lattice_angstrom": [[5.6227, 0.0000, 0.0000], [0.0000, 7.4534, 0.0000], [0.0000, 0.0000, 5.2117]], "species": ["Dy", "Dy", "Dy", "Dy", "Ni", "Ni", "Ni", "Ni", "O", "O", "O", "O", "O", "O", "O", "O", "O", "O", "O", "O"], "fractional_positions": [[0.0776, 0.2500, 0.0212], [0.4224, 0.7500, 0.5212], [0.5776, 0.2500, 0.4788], [0.9224, 0.7500, 0.9788], [0.0000, 0.0000, 0.5000], [0.0000, 0.5000, 0.5000], [0.5000, 0.0000, 0.0000], [0.5000, 0.5000, 0.0000], [0.0305, 0.7500, 0.3954], [0.1923, 0.5520, 0.8030], [0.1923, 0.9480, 0.8030], [0.3077, 0.0520, 0.3030], [0.3077, 0.4480, 0.3030], [0.4695, 0.2500, 0.8954], [0.5305, 0.7500, 0.1046], [0.6923, 0.5520, 0.6970], [0.6923, 0.9480, 0.6970], [0.8077, 0.0520, 0.1970], [0.8077, 0.4480, 0.1970], [0.9695, 0.2500, 0.6046]], "final_energy_ev_per_atom": -6.629, "formation_energy_ev_per_fu": -12.5, "rho_kg_m3": 8186, "spacegroup": "Pnma, No. 62"}

# 2
{"formula": "SrPrDyNiO6", "functional": "GGA+U", "state": "relaxed", "lattice_angstrom": [[0.0000, 4.0133, 4.0133], [4.0133, 0.0000, 4.0133], [4.0133, 4.0133, 0.0000]], "species": ["Sr", "Pr", "Dy", "Ni", "O", "O", "O", "O", "O", "O"], "fractional_positions": [[0.0000, 0.0000, 0.0000], [0.5000, 0.5000, 0.5000], [0.2500, 0.2500, 0.2500], [0.7500, 0.7500, 0.7500], [0.5186, 0.5186, 0.9814], [0.5186, 0.9814, 0.5186], [0.5186, 0.9814, 0.9814], [0.9814, 0.5186, 0.5186], [0.9814, 0.5186, 0.9814], [0.9814, 0.9814, 0.5186]], "final_energy_ev_per_atom": -6.678, "formation_energy_ev_per_fu": -26.9, "rho_kg_m3": 7009, "spacegroup": "F-43m, No. 216"}

# 3
{"formula": "RbDyW2O8", "functional": "GGA+U", "state": "relaxed", "lattice_angstrom": [[9.1724, 0.0000, 0.0000], [0.0000, 10.4389, 0.0000], [-1.2000, 0.0000, 7.9860]], "species": ["Rb", "Rb", "Rb", "Rb", "Dy", "Dy", "Dy", "Dy", "W", "W", "W", "W", "W", "W", "W", "W", "O", "O", "O", "O", "O", "O", "O", "O", "O", "O", "O", "O", "O", "O", "O", "O", "O", "O", "O", "O", "O", "O", "O", "O", "O", "O", "O", "O", "O", "O", "O", "O"], "fractional_positions": [[0.0115, 0.2165, 0.0730], [0.0115, 0.2835, 0.5730], [0.9885, 0.7165, 0.4270], [0.9885, 0.7835, 0.9270], [0.4359, 0.2233, 0.9786], [0.4359, 0.2767, 0.4786], [0.5641, 0.7233, 0.5214], [0.5641, 0.7767, 0.0214], [0.2818, 0.5139, 0.2141], [0.2818, 0.9861, 0.7141], [0.3382, 0.5122, 0.8236], [0.3382, 0.9878, 0.3236], [0.6618, 0.0122, 0.6764], [0.6618, 0.4878, 0.1764], [0.7182, 0.0139, 0.2859], [0.7182, 0.4861, 0.7859], [0.1101, 0.5914, 0.1551], [0.1101, 0.9086, 0.6551], [0.1754, 0.5899, 0.7334], [0.1754, 0.9101, 0.2334], [0.2328, 0.1228, 0.8401], [0.2328, 0.3772, 0.3401], [0.2749, 0.1004, 0.5012], [0.2749, 0.3996, 0.0012], [0.3460, 0.1390, 0.2042], [0.3460, 0.3610, 0.7042], [0.3708, 0.6198, 0.3812], [0.3708, 0.8802, 0.8812], [0.4077, 0.6040, 0.0453], [0.4077, 0.8960, 0.5453], [0.4927, 0.6048, 0.7428], [0.4927, 0.8952, 0.2428], [0.5073, 0.1048, 0.7572], [0.5073, 0.3952, 0.2572], [0.5923, 0.1040, 0.4547], [0.5923, 0.3960, 0.9547], [0.6292, 0.1198, 0.1188], [0.6292, 0.3802, 0.6188], [0.6540, 0.6390, 0.2958], [0.6540, 0.8610, 0.7958], [0.7251, 0.6004, 0.9988], [0.7251, 0.8996, 0.4988], [0.7672, 0.6228, 0.6599], [0.7672, 0.8772, 0.1599], [0.8246, 0.0899, 0.7666], [0.8246, 0.4101, 0.2666], [0.8899, 0.0914, 0.3449], [0.8899, 0.4086, 0.8449]], "final_energy_ev_per_atom": -7.383, "formation_energy_ev_per_fu": -31.9, "rho_kg_m3": 6460, "spacegroup": "P2_1/c, No. 14"}

# 4
{"formula": "SrDyV4O12", "functional": "GGA+U", "state": "relaxed", "lattice_angstrom": [[7.3850, 0.0000, 0.0000], [0.0000, 3.7324, 4.0221], [0.0000, -3.7324, 4.0221]], "species": ["Sr", "Dy", "V", "V", "V", "V", "O", "O", "O", "O", "O", "O", "O", "O", "O", "O", "O", "O"], "fractional_positions": [[0.0000, 0.0000, 0.0000], [0.5000, 0.5297, 0.5297], [0.2516, 0.0198, 0.5192], [0.2516, 0.5192, 0.0198], [0.7484, 0.0198, 0.5192], [0.7484, 0.5192, 0.0198], [0.0000, 0.0195, 0.4634], [0.0000, 0.4634, 0.0195], [0.2295, 0.7099, 0.7099], [0.2611, 0.2066, 0.7537], [0.2611, 0.7537, 0.2066], [0.2920, 0.2720, 0.2720], [0.5000, 0.5040, 0.9347], [0.5000, 0.9347, 0.5040], [0.7080, 0.2720, 0.2720], [0.7389, 0.2066, 0.7537], [0.7389, 0.7537, 0.2066], [0.7705, 0.7099, 0.7099]], "final_energy_ev_per_atom": -7.486, "formation_energy_ev_per_fu": -47.8, "rho_kg_m3": 4837, "spacegroup": "Amm2, No. 38"}

# 5
{"formula": "Dy2V2O7", "functional": "GGA+U", "state": "relaxed", "lattice_angstrom": [[0.0000, 5.0581, 5.0581], [5.0581, 0.0000, 5.0581], [5.0581, 5.0581, 0.0000]], "species": ["Dy", "Dy", "Dy", "Dy", "V", "V", "V", "V", "O", "O", "O", "O", "O", "O", "O", "O", "O", "O", "O", "O", "O", "O"], "fractional_positions": [[0.0000, 0.0000, 0.0000], [0.0000, 0.0000, 0.5000], [0.0000, 0.5000, 0.0000], [0.5000, 0.0000, 0.0000], [0.0000, 0.5000, 0.5000], [0.5000, 0.0000, 0.5000], [0.5000, 0.5000, 0.0000], [0.5000, 0.5000, 0.5000], [0.1250, 0.1250, 0.1250], [0.1684, 0.1684, 0.5816], [0.1684, 0.5816, 0.1684], [0.1684, 0.5816, 0.5816], [0.4184, 0.4184, 0.8316], [0.4184, 0.8316, 0.4184], [0.4184, 0.8316, 0.8316], [0.5816, 0.1684, 0.1684], [0.5816, 0.1684, 0.5816], [0.5816, 0.5816, 0.1684], [0.8316, 0.4184, 0.4184], [0.8316, 0.4184, 0.8316], [0.8316, 0.8316, 0.4184], [0.8750, 0.8750, 0.8750]], "final_energy_ev_per_atom": -8.129, "formation_energy_ev_per_fu": -35.6, "polymorph_energy_ev_per_atom": 0.000, "rho_kg_m3": 6915, "spacegroup": "Fd-3m, No. 227"}

# 6
{"formula": "DyVO4", "functional": "GGA+U", "state": "relaxed", "lattice_angstrom": [[-3.6061, 3.6061, 3.1772], [3.6061, -3.6061, 3.1772], [3.6061, 3.6061, -3.1772]], "species": ["Dy", "Dy", "V", "V", "O", "O", "O", "O", "O", "O", "O", "O"], "fractional_positions": [[0.3750, 0.6250, 0.7500], [0.6250, 0.3750, 0.2500], [0.1250, 0.8750, 0.2500], [0.8750, 0.1250, 0.7500], [0.1337, 0.6989, 0.4348], [0.2358, 0.3011, 0.9348], [0.3011, 0.2358, 0.4348], [0.3011, 0.8663, 0.0652], [0.6989, 0.1337, 0.9348], [0.6989, 0.7642, 0.5652], [0.7642, 0.6989, 0.0652], [0.8663, 0.3011, 0.5652]], "final_energy_ev_per_atom": -8.050, "formation_energy_ev_per_fu": -19.3, "rho_kg_m3": 5575, "spacegroup": "I4_1/amd, No. 141"}

# 7
{"formula": "Dy2V2O7", "functional": "GGA+U", "state": "relaxed", "lattice_angstrom": [[3.3710, -4.7637, 0.0000], [3.3710, 4.7637, 0.0000], [-0.9894, 0.0000, 5.1469]], "species": ["Dy", "Dy", "V", "V", "O", "O", "O", "O", "O", "O", "O"], "fractional_positions": [[0.1879, 0.8121, 0.0000], [0.8121, 0.1879, 0.0000], [0.2573, 0.2573, 0.5995], [0.7427, 0.7427, 0.4005], [0.0818, 0.0818, 0.2780], [0.1090, 0.4318, 0.7938], [0.4318, 0.1090, 0.7938], [0.5000, 0.5000, 0.5000], [0.5682, 0.8910, 0.2062], [0.8910, 0.5682, 0.2062], [0.9182, 0.9182, 0.7220]], "final_energy_ev_per_atom": -8.057, "formation_energy_ev_per_fu": -34.8, "polymorph_energy_ev_per_atom": 0.073, "rho_kg_m3": 5413, "spacegroup": "C2/m, No. 12"}

# 8
{"formula": "DyVO4", "functional": "GGA+U", "state": "relaxed", "lattice_angstrom": [[-2.5434, 2.5434, 5.6647], [2.5434, -2.5434, 5.6647], [2.5434, 2.5434, -5.6647]], "species": ["Dy", "Dy", "V", "V", "O", "O", "O", "O", "O", "O", "O", "O"], "fractional_positions": [[0.3750, 0.1250, 0.2500], [0.6250, 0.8750, 0.7500], [0.1250, 0.3750, 0.7500], [0.8750, 0.6250, 0.2500], [0.0591, 0.7123, 0.8601], [0.2123, 0.8522, 0.6532], [0.3010, 0.4409, 0.1532], [0.3522, 0.1990, 0.6399], [0.6478, 0.8010, 0.3601], [0.6990, 0.5591, 0.8468], [0.7877, 0.1478, 0.3468], [0.9409, 0.2877, 0.1399]], "final_energy_ev_per_atom": -8.013, "formation_energy_ev_per_fu": -19.0, "rho_kg_m3": 6286, "spacegroup": "I4_1/a, No. 88"}

# 9
{"formula": "ErFeGe2O7", "functional": "GGA+U", "state": "relaxed", "lattice_angstrom": [[5.3962, -4.3660, 0.0000], [5.3962, 4.3660, 0.0000], [-2.9339, 0.0000, 6.0052]], "species": ["Er", "Er", "Fe", "Fe", "Ge", "Ge", "Ge", "Ge", "O", "O", "O", "O", "O", "O", "O", "O", "O", "O", "O", "O", "O", "O"], "fractional_positions": [[0.2023, 0.7977, 0.0000], [0.7977, 0.2023, 0.0000], [0.3074, 0.6926, 0.5000], [0.6926, 0.3074, 0.5000], [0.2131, 0.2131, 0.5077], [0.3021, 0.3021, 0.0725], [0.6979, 0.6979, 0.9275], [0.7869, 0.7869, 0.4923], [0.0569, 0.7283, 0.6037], [0.1329, 0.1329, 0.0426], [0.2195, 0.5676, 0.1669], [0.2717, 0.9431, 0.3963], [0.3019, 0.3019, 0.8024], [0.3650, 0.3650, 0.4592], [0.4324, 0.7805, 0.8331], [0.5676, 0.2195, 0.1669], [0.6350, 0.6350, 0.5408], [0.6981, 0.6981, 0.1976], [0.7283, 0.0569, 0.6037], [0.7805, 0.4324, 0.8331], [0.8671, 0.8671, 0.9574], [0.9431, 0.2717, 0.3963]], "final_energy_ev_per_atom": -7.018, "formation_energy_ev_per_fu": -27.3, "rho_kg_m3": 5638, "spacegroup": "C2/m, No. 12"}

# 10
{"formula": "ErMnFeO4", "functional": "GGA+U", "state": "relaxed", "lattice_angstrom": [[1.7806, 1.0280, 8.0742], [-1.7806, 1.0280, 8.0742], [0.0000, -2.0560, 8.0742]], "species": ["Er", "Mn", "Fe", "O", "O", "O", "O"], "fractional_positions": [[0.0000, 0.0000, 0.0000], [0.7911, 0.7911, 0.7911], [0.2141, 0.2141, 0.2141], [0.1291, 0.1291, 0.1291], [0.2954, 0.2954, 0.2954], [0.7118, 0.7118, 0.7118], [0.8715, 0.8715, 0.8715]], "final_energy_ev_per_atom": -7.551, "formation_energy_ev_per_fu": -17.5, "rho_kg_m3": 6405, "spacegroup": "R3m, No. 160"}

# 11
{"formula": "ErMnFeO5", "functional": "GGA+U", "state": "relaxed", "lattice_angstrom": [[7.3031, 0.0000, 0.0000], [0.0000, 8.5789, 0.0000], [0.0000, 0.0000, 5.7782]], "species": ["Er", "Er", "Er", "Er", "Mn", "Mn", "Mn", "Mn", "Fe", "Fe", "Fe", "Fe", "O", "O", "O", "O", "O", "O", "O", "O", "O", "O", "O", "O", "O", "O", "O", "O", "O", "O", "O", "O"], "fractional_positions": [[0.1337, 0.1688, 0.0000], [0.3663, 0.6688, 0.0000], [0.6337, 0.3312, 0.0000], [0.8663, 0.8312, 0.0000], [0.0000, 0.5000, 0.2484], [0.0000, 0.5000, 0.7516], [0.5000, 0.0000, 0.2484], [0.5000, 0.0000, 0.7516], [0.1067, 0.8539, 0.5000], [0.3933, 0.3539, 0.5000], [0.6067, 0.6461, 0.5000], [0.8933, 0.1461, 0.5000], [0.0000, 0.0000, 0.2641], [0.0000, 0.0000, 0.7359], [0.1082, 0.7051, 0.2392], [0.1082, 0.7051, 0.7608], [0.1503, 0.4298, 0.5000], [0.1630, 0.4416, 0.0000], [0.3370, 0.9416, 0.0000], [0.3497, 0.9298, 0.5000], [0.3918, 0.2051, 0.2392], [0.3918, 0.2051, 0.7608], [0.5000, 0.5000, 0.2641], [0.5000, 0.5000, 0.7359], [0.6082, 0.7949, 0.2392], [0.6082, 0.7949, 0.7608], [0.6503, 0.0702, 0.5000], [0.6630, 0.0584, 0.0000], [0.8370, 0.5584, 0.0000], [0.8497, 0.5702, 0.5000], [0.8918, 0.2949, 0.2392], [0.8918, 0.2949, 0.7608]], "final_energy_ev_per_atom": -7.478, "formation_energy_ev_per_fu": -20.2, "rho_kg_m3": 6569, "spacegroup": "Pbam, No. 55"}

# 12
{"formula": "ErFe2O4", "functional": "GGA+U", "state": "relaxed", "lattice_angstrom": [[1.7425, 1.0060, 8.4622], [-1.7425, 1.0060, 8.4622], [0.0000, -2.0120, 8.4622]], "species": ["Er", "Fe", "Fe", "O", "O", "O", "O"], "fractional_positions": [[0.0000, 0.0000, 0.0000], [0.2136, 0.2136, 0.2136], [0.7864, 0.7864, 0.7864], [0.1285, 0.1285, 0.1285], [0.2920, 0.2920, 0.2920], [0.7080, 0.7080, 0.7080], [0.8715, 0.8715, 0.8715]], "final_energy_ev_per_atom": -7.244, "formation_energy_ev_per_fu": -16.7, "rho_kg_m3": 6399, "spacegroup": "R-3m, No. 166"}

# 13
{"formula": "ErFeO3", "functional": "GGA+U", "state": "relaxed", "lattice_angstrom": [[5.6297, 0.0000, 0.0000], [0.0000, 7.6857, 0.0000], [0.0000, 0.0000, 5.2952]], "species": ["Er", "Er", "Er", "Er", "Fe", "Fe", "Fe", "Fe", "O", "O", "O", "O", "O", "O", "O", "O", "O", "O", "O", "O"], "fractional_positions": [[0.0711, 0.2500, 0.0203], [0.4289, 0.7500, 0.5203], [0.5711, 0.2500, 0.4797], [0.9289, 0.7500, 0.9797], [0.0000, 0.0000, 0.5000], [0.0000, 0.5000, 0.5000], [0.5000, 0.0000, 0.0000], [0.5000, 0.5000, 0.0000], [0.0464, 0.7500, 0.3782], [0.1924, 0.5621, 0.8104], [0.1924, 0.9379, 0.8104], [0.3076, 0.0621, 0.3104], [0.3076, 0.4379, 0.3104], [0.4536, 0.2500, 0.8782], [0.5464, 0.7500, 0.1218], [0.6924, 0.5621, 0.6896], [0.6924, 0.9379, 0.6896], [0.8076, 0.0621, 0.1896], [0.8076, 0.4379, 0.1896], [0.9536, 0.2500, 0.6218]], "final_energy_ev_per_atom": -7.577, "formation_energy_ev_per_fu": -14.3, "rho_kg_m3": 7859, "spacegroup": "Pnma, No. 62"}

# 14
{"formula": "Er2VFeO6", "functional": "GGA+U", "state": "relaxed", "lattice_angstrom": [[5.2314, 0.0000, 0.0000], [0.0000, 5.6137, 0.0000], [-5.1599, 0.0000, 7.5398]], "species": ["Er", "Er", "Er", "Er", "V", "V", "Fe", "Fe", "O", "O", "O", "O", "O", "O", "O", "O", "O", "O", "O", "O"], "fractional_positions": [[0.2264, 0.0732, 0.2480], [0.2264, 0.4268, 0.7480], [0.7736, 0.5732, 0.2520], [0.7736, 0.9268, 0.7520], [0.0000, 0.0000, 0.5000], [0.0000, 0.5000, 0.0000], [0.5000, 0.0000, 0.0000], [0.5000, 0.5000, 0.5000], [0.1349, 0.1892, 0.9428], [0.1349, 0.3108, 0.4428], [0.2577, 0.6937, 0.9435], [0.2577, 0.8063, 0.4435], [0.3681, 0.0416, 0.7534], [0.3681, 0.4584, 0.2534], [0.6319, 0.5416, 0.7466], [0.6319, 0.9584, 0.2466], [0.7423, 0.1937, 0.5565], [0.7423, 0.3063, 0.0565], [0.8651, 0.6892, 0.5572], [0.8651, 0.8108, 0.0572]], "final_energy_ev_per_atom": -7.905, "formation_energy_ev_per_fu": -30.8, "rho_kg_m3": 8059, "spacegroup": "P2_1/c, No. 14"}